Entry from the Materials Project database: a relaxed SrC crystal (PBE-GGA).

abc: 5.679 5.679 5.679
angles: 90.00 90.00 90.00
Positions (direct):
Sr (0.000, 0.000, 0.000)
Sr (0.000, 0.500, 0.500)
Sr (0.500, 0.000, 0.500)
Sr (0.500, 0.500, 0.000)
C (0.000, 0.000, 0.500)
C (0.000, 0.500, 0.000)
C (0.500, 0.000, 0.000)
C (0.500, 0.500, 0.500)

Values from the calculation:
Calculated formation energy in meV per atom: 1270
Volume in Å³ per cell: 183.1
Total magnetization in μB/f.u.: 2.00
Crystal system: cubic

---

Entry from the Materials Project database: a relaxed Lu6Ga21Co7 crystal (PBE-GGA).

abc: 16.512 16.512 4.106
angles: 90.00 90.00 90.00
Positions (direct):
Lu (0.086, 0.157, 0.000)
Lu (0.108, 0.608, 0.500)
Lu (0.157, 0.914, 0.000)
Lu (0.343, 0.414, 0.000)
Lu (0.392, 0.108, 0.500)
Lu (0.414, 0.657, 0.000)
Lu (0.586, 0.343, 0.000)
Lu (0.608, 0.892, 0.500)
Lu (0.657, 0.586, 0.000)
Lu (0.843, 0.086, 0.000)
Lu (0.892, 0.392, 0.500)
Lu (0.914, 0.843, 0.000)
Ga (0.000, 0.500, 0.000)
Ga (0.033, 0.888, 0.500)
Ga (0.044, 0.271, 0.500)
Ga (0.074, 0.426, 0.500)
Ga (0.075, 0.743, 0.000)
Ga (0.112, 0.033, 0.500)
Ga (0.179, 0.321, 0.000)
Ga (0.180, 0.792, 0.500)
Ga (0.208, 0.180, 0.500)
Ga (0.229, 0.456, 0.500)
Ga (0.243, 0.575, 0.000)
Ga (0.257, 0.075, 0.000)
Ga (0.271, 0.956, 0.500)
Ga (0.292, 0.680, 0.500)
Ga (0.320, 0.292, 0.500)
Ga (0.321, 0.821, 0.000)
Ga (0.388, 0.533, 0.500)
Ga (0.425, 0.243, 0.000)
Ga (0.426, 0.926, 0.500)
Ga (0.456, 0.771, 0.500)
Ga (0.467, 0.388, 0.500)
Ga (0.500, 0.000, 0.000)
Ga (0.533, 0.612, 0.500)
Ga (0.544, 0.229, 0.500)
Ga (0.574, 0.074, 0.500)
Ga (0.575, 0.757, 0.000)
Ga (0.612, 0.467, 0.500)
Ga (0.679, 0.179, 0.000)
Ga (0.680, 0.708, 0.500)
Ga (0.708, 0.320, 0.500)
Ga (0.729, 0.044, 0.500)
Ga (0.743, 0.925, 0.000)
Ga (0.757, 0.425, 0.000)
Ga (0.771, 0.544, 0.500)
Ga (0.792, 0.820, 0.500)
Ga (0.820, 0.208, 0.500)
Ga (0.821, 0.679, 0.000)
Ga (0.888, 0.967, 0.500)
Ga (0.925, 0.257, 0.000)
Ga (0.926, 0.574, 0.500)
Ga (0.956, 0.729, 0.500)
Ga (0.967, 0.112, 0.500)
Co (0.000, 0.000, 0.000)
Co (0.035, 0.351, 0.000)
Co (0.149, 0.465, 0.000)
Co (0.219, 0.719, 0.000)
Co (0.281, 0.219, 0.000)
Co (0.351, 0.965, 0.000)
Co (0.465, 0.851, 0.000)
Co (0.500, 0.500, 0.000)
Co (0.535, 0.149, 0.000)
Co (0.649, 0.035, 0.000)
Co (0.719, 0.781, 0.000)
Co (0.781, 0.281, 0.000)
Co (0.851, 0.535, 0.000)
Co (0.965, 0.649, 0.000)

Values from the calculation:
Calculated formation energy in meV per atom: -464
Volume in Å³ per cell: 1119.6
Total magnetization in μB/f.u.: 1.98
Crystal system: tetragonal